The following is a PBE calculation of Ca5P8 after structural relaxation, from Materials Project.

Unit cell a=6.895 b=6.895 c=7.517 alpha=99.02 beta=99.02 gamma=119.64
Element x y z (fractional)
Ca  0.000  0.000  0.000
Ca  0.165  0.835  0.500
Ca  0.325  0.675  0.000
Ca  0.675  0.325  0.000
Ca  0.835  0.165  0.500
P  0.115  0.421  0.260
P  0.278  0.278  0.742
P  0.421  0.115  0.260
P  0.448  0.448  0.337
P  0.552  0.552  0.663
P  0.579  0.885  0.740
P  0.722  0.722  0.258
P  0.885  0.579  0.740

V, Å³/cell: 295
Calculated total energy, eV per atom: -5.01
Space group: C2/m, No. 12